[1]
First-principles (r²SCAN) data for an optimized crystal structure of BiPd6Pb, as listed in the Materials Project.

Its crystal system is tetragonal.

It has space group P4/mmm (No. 123), with a = 4.093 Å, b = 4.093 Å, c = 8.176 Å, α = 90.00°, β = 90.00° and γ = 90.00°. The distinct sites, in fractional coordinates, are Bi at (0.000, 0.000, 0.000), Pd at (0.000, 0.500, 0.251), Pd at (0.500, 0.500, 0.000), Pd at (0.500, 0.500, 0.500) and Pb at (0.000, 0.000, 0.500).



[2]
First-principles (r²SCAN) data for an optimized crystal structure of LiMnF4, as listed in the Materials Project.

Its crystal system is orthorhombic.

It has space group Pbcn (No. 60), with a = 4.504 Å, b = 11.081 Å, c = 4.962 Å, α = 90.00°, β = 90.00° and γ = 90.00°. The distinct sites, in fractional coordinates, are Li at (0.000, 0.059, 0.250), Mn at (0.000, 0.323, 0.250), F at (0.224, 0.197, 0.096) and F at (0.246, 0.436, 0.094).



[3]
First-principles (r²SCAN) data for an optimized crystal structure of Tm6Zn23, as listed in the Materials Project.

Its crystal system is cubic.

It has space group Fm-3m (No. 225), with a = 12.447 Å, b = 12.447 Å, c = 12.447 Å, α = 90.00°, β = 90.00° and γ = 90.00°. The distinct sites, in fractional coordinates, are Tm at (0.000, 0.000, 0.206), Zn at (0.000, 0.000, 0.500), Zn at (0.000, 0.250, 0.250), Zn at (0.123, 0.123, 0.377) and Zn at (0.171, 0.171, 0.171).



[4]
First-principles (r²SCAN) data for an optimized crystal structure of ClF3, as listed in the Materials Project.

Its crystal system is monoclinic.

It has space group P2_1/c (No. 14), with a = 7.720 Å, b = 4.255 Å, c = 15.057 Å, α = 90.00°, β = 96.11° and γ = 90.00°. The distinct sites, in fractional coordinates, are Cl at (0.116, 0.006, 0.368), Cl at (0.285, 0.572, 0.580), F at (0.094, 0.698, 0.450), F at (0.147, 0.213, 0.791), F at (0.191, 0.622, 0.143), F at (0.318, 0.595, 0.870), F at (0.378, 0.226, 0.025) and F at (0.410, 0.011, 0.170).



[5]
First-principles (r²SCAN) data for an optimized crystal structure of UGePt, as listed in the Materials Project.

Its crystal system is orthorhombic.

It has space group Imm2 (No. 44), with a = 4.382 Å, b = 7.225 Å, c = 7.604 Å, α = 90.00°, β = 90.00° and γ = 90.00°. The distinct sites, in fractional coordinates, are U at (0.000, 0.000, 0.000), U at (0.000, 0.500, 0.049), Ge at (0.000, 0.278, 0.686) and Pt at (0.000, 0.217, 0.356).



[6]
First-principles (r²SCAN) data for an optimized crystal structure of LuTaOs2, as listed in the Materials Project.

Its crystal system is cubic.

It has space group Fm-3m (No. 225), with a = 6.464 Å, b = 6.464 Å, c = 6.464 Å, α = 90.00°, β = 90.00° and γ = 90.00°. The distinct sites, in fractional coordinates, are Lu at (0.000, 0.000, 0.000), Ta at (0.000, 0.000, 0.500) and Os at (0.250, 0.250, 0.250).



[7]
First-principles (r²SCAN) data for an optimized crystal structure of Sr2AlH7, as listed in the Materials Project.

Its crystal system is monoclinic.

It has space group C2/c (No. 15), with a = 13.555 Å, b = 9.752 Å, c = 7.988 Å, α = 90.00°, β = 115.15° and γ = 90.00°. The distinct sites, in fractional coordinates, are Sr at (0.094, 0.170, 0.022), Sr at (0.139, 0.429, 0.477), Al at (0.172, 0.148, 0.692), H at (0.058, 0.399, 0.127), H at (0.074, 0.043, 0.707), H at (0.089, 0.171, 0.459), H at (0.097, 0.289, 0.726), H at (0.234, 0.242, 0.332), H at (0.239, 0.005, 0.667) and H at (0.249, 0.357, 0.074).



[8]
First-principles (r²SCAN) data for an optimized crystal structure of EuZn2Ga2, as listed in the Materials Project.

Its crystal system is tetragonal.

It has space group I4/mmm (No. 139), with a = 4.252 Å, b = 4.252 Å, c = 10.732 Å, α = 90.00°, β = 90.00° and γ = 90.00°. The distinct sites, in fractional coordinates, are Eu at (0.000, 0.000, 0.000), Zn at (0.000, 0.000, 0.386) and Ga at (0.000, 0.500, 0.250).



[9]
First-principles (r²SCAN) data for an optimized crystal structure of HfZrTc2, as listed in the Materials Project.

Its crystal system is cubic.

It has space group Fm-3m (No. 225), with a = 6.524 Å, b = 6.524 Å, c = 6.524 Å, α = 90.00°, β = 90.00° and γ = 90.00°. The distinct sites, in fractional coordinates, are Hf at (0.000, 0.000, 0.000), Zr at (0.000, 0.000, 0.500) and Tc at (0.250, 0.250, 0.250).



[10]
First-principles (r²SCAN) data for an optimized crystal structure of CaAs2Ru2, as listed in the Materials Project.

Its crystal system is tetragonal.

It has space group I4/mmm (No. 139), with a = 4.182 Å, b = 4.182 Å, c = 10.409 Å, α = 90.00°, β = 90.00° and γ = 90.00°. The distinct sites, in fractional coordinates, are Ca at (0.000, 0.000, 0.000), As at (0.000, 0.000, 0.366) and Ru at (0.000, 0.500, 0.250).



[11]
First-principles (r²SCAN) data for an optimized crystal structure of CsMoO2F3, as listed in the Materials Project.

Its crystal system is orthorhombic.

It has space group Imma (No. 74), with a = 5.599 Å, b = 6.398 Å, c = 14.187 Å, α = 90.00°, β = 90.00° and γ = 90.00°. The distinct sites, in fractional coordinates, are Cs at (0.000, 0.250, 0.131), Mo at (0.000, 0.250, 0.634), O at (0.235, 0.250, 0.559), F at (0.000, 0.041, 0.334) and F at (0.250, 0.250, 0.750).



[12]
First-principles (r²SCAN) data for an optimized crystal structure of BaTcO3, as listed in the Materials Project.

Its crystal system is hexagonal.

It has space group P6_3/mmc (No. 194), with a = 5.7989 Å, b = 5.7989 Å, c = 13.9512 Å, α = 90.00°, β = 90.00° and γ = 120.00°. The distinct sites, in fractional coordinates, are Ba at (0.0000, 0.0000, 0.2500), Ba at (0.3333, 0.6667, 0.0911), Tc at (0.0000, 0.0000, 0.0000), Tc at (0.3333, 0.6667, 0.6622), O at (0.0148, 0.5074, 0.7500) and O at (0.1657, 0.3314, 0.5819).



Taking the records one at a time from the top gives E_tot values of -31.83, -7.91, -14.67, -4.50, -49.30, -48.66, -6.62, -16.28, -30.42, -18.20, -13.06, -16.45 eV per atom.